Entry 1:
# Na2MnPCO7 (PBE with a Hubbard U, relaxed)
# Total energy after the MP2020 corrections   -7.394 eV/atom
# Calculated volume   13.0 Å³ per atom
# Energy of formation   -2.303 eV/atom
# Total magnetization   4.0 μB per formula unit
# Energy relative to the lowest polymorph listed for this composition   12 meV/atom
data_Na2MnPCO7
_cell_length_a 8.469
_cell_length_b 8.555
_cell_length_c 8.894
_cell_angle_alpha 90.51
_cell_angle_beta 91.35
_cell_angle_gamma 105.15
_space_group_name_H-M_alt 'P 1'
_space_group_IT_number 1
_space_group_name_Hall 'P 1'
loop_
_atom_site_label
_atom_site_fract_x
_atom_site_fract_y
_atom_site_fract_z
O1 0.024 0.263 0.932
C1 0.993 0.742 0.930
O2 0.296 0.548 0.424
O3 0.169 0.608 0.668
O4 0.144 0.077 0.319
O5 0.640 0.580 0.331
O6 0.843 0.410 0.328
O7 0.900 0.145 0.140
O8 0.508 0.761 0.931
O9 0.473 0.235 0.066
Na1 0.115 0.132 0.743
O10 0.578 0.831 0.547
P1 0.227 0.479 0.577
O11 0.920 0.682 0.455
C2 0.484 0.236 0.927
Mn1 0.483 0.739 0.350
O12 0.103 0.849 0.852
O13 0.109 0.357 0.168
O14 0.613 0.856 0.161
O15 0.385 0.131 0.836
Na2 0.384 0.866 0.743
O16 0.202 0.955 0.573
O17 0.709 0.455 0.576
O18 0.077 0.327 0.545
Mn2 0.972 0.232 0.347
P2 0.772 0.525 0.421
Na3 0.871 0.871 0.245
P3 0.270 0.022 0.419
O19 0.675 0.109 0.670
O20 0.001 0.752 0.072
P4 0.732 0.980 0.579
O21 0.805 0.043 0.427
C3 0.509 0.759 0.072
O22 0.858 0.919 0.676
Na4 0.109 0.616 0.249
Mn3 0.014 0.766 0.647
Na5 0.255 0.993 0.085
O23 0.888 0.638 0.849
Na6 0.397 0.378 0.252
O24 0.596 0.344 0.853
O25 0.394 0.653 0.147
Na7 0.877 0.369 0.761
O26 0.358 0.423 0.671
Na8 0.618 0.624 0.759
O27 0.324 0.892 0.326
C4 0.012 0.257 0.072
Mn4 0.516 0.264 0.647
O28 0.418 0.174 0.455

=====

Entry 2:
# NaMnPCO7 (PBE with a Hubbard U, relaxed)
# Total energy after the MP2020 corrections   -7.606 eV/atom
# Calculated volume   13.5 Å³ per atom
# Energy of formation   -2.173 eV/atom
# Total magnetization   3.0 μB per formula unit
# Energy relative to the lowest polymorph listed for this composition   9 meV/atom
data_NaMnPCO7
_cell_length_a 8.134
_cell_length_b 8.158
_cell_length_c 9.114
_cell_angle_alpha 90.26
_cell_angle_beta 92.54
_cell_angle_gamma 100.41
_space_group_name_H-M_alt 'P 1'
_space_group_IT_number 1
_space_group_name_Hall 'P 1'
loop_
_atom_site_label
_atom_site_fract_x
_atom_site_fract_y
_atom_site_fract_z
Mn1 0.477 0.738 0.343
C1 0.492 0.235 0.922
O1 0.688 0.439 0.574
O2 0.587 0.839 0.525
O3 0.325 0.891 0.335
O4 0.106 0.847 0.854
C2 0.512 0.759 0.081
Mn2 0.975 0.240 0.342
O5 0.628 0.579 0.330
O6 0.395 0.652 0.143
C3 0.008 0.263 0.079
O7 0.406 0.171 0.475
O8 0.898 0.640 0.821
O9 0.101 0.360 0.181
Na1 0.396 0.850 0.755
O10 0.824 0.392 0.331
O11 0.809 0.061 0.425
P1 0.733 0.986 0.566
O12 0.398 0.140 0.817
O13 0.087 0.339 0.525
O14 0.668 0.110 0.668
P2 0.235 0.484 0.566
O15 0.605 0.856 0.183
O16 0.129 0.081 0.333
O17 0.534 0.768 0.948
P3 0.265 0.021 0.434
O18 0.177 0.620 0.661
O19 0.359 0.415 0.675
O20 0.981 0.727 0.054
O21 0.868 0.925 0.668
O22 0.605 0.345 0.861
P4 0.761 0.516 0.433
C4 0.994 0.736 0.921
Na2 0.394 0.365 0.238
O23 0.903 0.668 0.473
Mn3 0.523 0.273 0.660
Na3 0.102 0.143 0.755
Mn4 0.011 0.761 0.656
Na4 0.895 0.866 0.239
O24 0.192 0.944 0.578
O25 0.893 0.154 0.143
O26 0.026 0.275 0.947
O27 0.471 0.218 0.055
O28 0.315 0.555 0.426

=====

Entry 3:
# NaMnPCO7 (PBE with a Hubbard U, relaxed)
# Total energy after the MP2020 corrections   -7.610 eV/atom
# Calculated volume   13.6 Å³ per atom
# Energy of formation   -2.177 eV/atom
# Total magnetization   3.0 μB per formula unit
# Energy relative to the lowest polymorph listed for this composition   5 meV/atom
data_NaMnPCO7
_cell_length_a 6.236
_cell_length_b 10.417
_cell_length_c 10.433
_cell_angle_alpha 62.32
_cell_angle_beta 90.00
_cell_angle_gamma 90.00
_space_group_name_H-M_alt 'P 1'
_space_group_IT_number 1
_space_group_name_Hall 'P 1'
loop_
_atom_site_label
_atom_site_fract_x
_atom_site_fract_y
_atom_site_fract_z
O1 0.762 0.426 0.222
O2 0.256 0.045 0.325
C1 0.750 0.086 0.594
O3 0.559 0.663 0.068
O4 0.759 0.147 0.451
O5 0.755 0.187 0.137
O6 0.241 0.853 0.549
P1 0.748 0.565 0.577
O7 0.941 0.663 0.568
O8 0.445 0.332 0.446
O9 0.741 0.147 0.951
O10 0.751 0.526 0.450
Na1 0.544 0.761 0.243
C2 0.750 0.086 0.094
O11 0.756 0.955 0.175
C3 0.250 0.914 0.406
O12 0.244 0.045 0.825
O13 0.251 0.474 0.050
Mn1 0.749 0.345 0.935
P2 0.252 0.435 0.423
Na2 0.956 0.761 0.743
O14 0.249 0.474 0.550
O15 0.262 0.574 0.278
O16 0.945 0.668 0.054
Mn2 0.249 0.655 0.565
O17 0.255 0.813 0.363
P3 0.752 0.565 0.077
O18 0.441 0.337 0.932
O19 0.745 0.187 0.637
C4 0.250 0.914 0.906
O20 0.749 0.526 0.950
O21 0.238 0.574 0.778
O22 0.055 0.332 0.946
Mn3 0.751 0.345 0.435
O23 0.259 0.853 0.049
Mn4 0.251 0.655 0.065
Na3 0.044 0.239 0.257
O24 0.555 0.668 0.554
O25 0.738 0.426 0.722
O26 0.744 0.955 0.675
P4 0.248 0.435 0.923
O27 0.245 0.813 0.863
Na4 0.456 0.239 0.757
O28 0.059 0.337 0.432